# 1
{
  "formula": "Er5Re2C7",
  "functional": "PBE-GGA",
  "state": "relaxed",
  "dft_energy_ev_per_cell": -118.0,
  "rho_g_cm3": 10.94,
  "formation_energy_ev_per_fu": -5.63,
  "lattice": [[3.984, -7.243, 0.000], [3.984, 7.243, 0.000], [0.000, 0.000, 3.401]],
  "species": ["Er", "Er", "Er", "Er", "Er", "Re", "Re", "C", "C", "C", "C", "C", "C", "C"],
  "fractional_positions": [[0.000, 0.000, 0.000], [0.164, 0.423, 0.500], [0.423, 0.164, 0.500], [0.577, 0.836, 0.500], [0.836, 0.577, 0.500], [0.214, 0.786, 0.000], [0.786, 0.214, 0.000], [0.000, 0.500, 0.000], [0.125, 0.875, 0.500], [0.330, 0.330, 0.000], [0.500, 0.000, 0.000], [0.500, 0.500, 0.000], [0.670, 0.670, 0.000], [0.875, 0.125, 0.500]]
}

=====

# 2
{
  "formula": "La4Os6O19",
  "functional": "PBE-GGA",
  "state": "relaxed",
  "energy_corrected_mp2020_ev_per_atom": -8.5746,
  "dft_energy_ev_per_cell": -235.6,
  "rho_g_cm3": 8.68,
  "formation_energy_ev_per_fu": -67.54,
  "lattice": [[-4.575, 4.575, 4.575], [4.575, -4.575, 4.575], [4.575, 4.575, -4.575]],
  "species": ["La", "La", "La", "La", "Os", "Os", "Os", "Os", "Os", "Os", "O", "O", "O", "O", "O", "O", "O", "O", "O", "O", "O", "O", "O", "O", "O", "O", "O", "O", "O"],
  "fractional_positions": [[0.000, 0.000, 0.314], [0.000, 0.314, 0.000], [0.314, 0.000, 0.000], [0.686, 0.686, 0.686], [0.137, 0.637, 0.500], [0.363, 0.500, 0.863], [0.500, 0.137, 0.637], [0.500, 0.863, 0.363], [0.637, 0.500, 0.137], [0.863, 0.363, 0.500], [0.000, 0.000, 0.000], [0.000, 0.324, 0.324], [0.000, 0.676, 0.676], [0.060, 0.332, 0.705], [0.272, 0.940, 0.645], [0.295, 0.627, 0.355], [0.324, 0.000, 0.324], [0.324, 0.324, 0.000], [0.332, 0.705, 0.060], [0.355, 0.295, 0.627], [0.373, 0.668, 0.728], [0.627, 0.355, 0.295], [0.645, 0.272, 0.940], [0.668, 0.728, 0.373], [0.676, 0.000, 0.676], [0.676, 0.676, 0.000], [0.705, 0.060, 0.332], [0.728, 0.373, 0.668], [0.940, 0.645, 0.272]]
}

=====

# 3
{
  "formula": "CsSrF3",
  "functional": "PBE-GGA",
  "state": "relaxed",
  "energy_corrected_mp2020_ev_per_atom": -5.3370,
  "dft_energy_ev_per_cell": -25.3,
  "rho_g_cm3": 4.08,
  "formation_energy_ev_per_fu": -18.36,
  "lattice": [[4.833, 0.000, 0.000], [0.000, 4.833, 0.000], [0.000, 0.000, 4.833]],
  "species": ["Cs", "Sr", "F", "F", "F"],
  "fractional_positions": [[0.000, 0.000, 0.000], [0.500, 0.500, 0.500], [0.000, 0.500, 0.500], [0.500, 0.000, 0.500], [0.500, 0.500, 0.000]]
}

=====

# 4
{
  "formula": "KSi2HO5",
  "functional": "PBE-GGA",
  "state": "relaxed",
  "energy_corrected_mp2020_ev_per_atom": -7.2432,
  "dft_energy_ev_per_cell": -247.0,
  "rho_g_cm3": 2.28,
  "formation_energy_ev_per_fu": -25.09,
  "lattice": [[12.650, 0.000, 0.000], [0.000, 4.873, 0.000], [0.000, 0.000, 8.337]],
  "species": ["K", "K", "K", "K", "Si", "Si", "Si", "Si", "Si", "Si", "Si", "Si", "H", "H", "H", "H", "O", "O", "O", "O", "O", "O", "O", "O", "O", "O", "O", "O", "O", "O", "O", "O", "O", "O", "O", "O"],
  "fractional_positions": [[0.042, 0.039, 0.000], [0.458, 0.539, 0.500], [0.542, 0.461, 0.000], [0.958, 0.961, 0.500], [0.183, 0.533, 0.690], [0.193, 0.530, 0.314], [0.307, 0.030, 0.814], [0.317, 0.033, 0.190], [0.683, 0.967, 0.690], [0.693, 0.970, 0.314], [0.807, 0.470, 0.814], [0.817, 0.467, 0.190], [0.014, 0.526, 0.251], [0.486, 0.026, 0.751], [0.514, 0.974, 0.251], [0.986, 0.474, 0.751], [0.071, 0.654, 0.743], [0.081, 0.665, 0.256], [0.189, 0.431, 0.502], [0.211, 0.254, 0.795], [0.218, 0.254, 0.209], [0.282, 0.754, 0.709], [0.289, 0.754, 0.295], [0.311, 0.931, 0.002], [0.419, 0.165, 0.756], [0.429, 0.154, 0.243], [0.571, 0.846, 0.743], [0.581, 0.835, 0.256], [0.689, 0.069, 0.502], [0.711, 0.246, 0.795], [0.718, 0.246, 0.209], [0.782, 0.746, 0.709], [0.789, 0.746, 0.295], [0.811, 0.569, 0.002], [0.919, 0.335, 0.756], [0.929, 0.346, 0.243]]
}

=====

# 5
{
  "formula": "Na3PO12",
  "functional": "PBE-GGA",
  "state": "relaxed",
  "energy_corrected_mp2020_ev_per_atom": -5.1479,
  "dft_energy_ev_per_cell": -321.7,
  "rho_g_cm3": 1.79,
  "formation_energy_ev_per_fu": -13.61,
  "lattice": [[6.378, 0.000, 0.000], [1.424, 10.805, 0.000], [1.640, 1.724, 15.755]],
  "species": ["Na", "Na", "Na", "Na", "Na", "Na", "Na", "Na", "Na", "Na", "Na", "Na", "P", "P", "P", "P", "O", "O", "O", "O", "O", "O", "O", "O", "O", "O", "O", "O", "O", "O", "O", "O", "O", "O", "O", "O", "O", "O", "O", "O", "O", "O", "O", "O", "O", "O", "O", "O", "O", "O", "O", "O", "O", "O", "O", "O", "O", "O", "O", "O", "O", "O", "O", "O"],
  "fractional_positions": [[0.021, 0.347, 0.461], [0.103, 0.396, 0.724], [0.163, 0.621, 0.051], [0.257, 0.935, 0.541], [0.286, 0.177, 0.244], [0.386, 0.127, 0.916], [0.614, 0.873, 0.084], [0.714, 0.823, 0.756], [0.743, 0.065, 0.459], [0.837, 0.379, 0.949], [0.897, 0.604, 0.276], [0.979, 0.653, 0.539], [0.086, 0.813, 0.163], [0.301, 0.669, 0.679], [0.699, 0.331, 0.321], [0.914, 0.187, 0.837], [0.001, 0.554, 0.420], [0.020, 0.959, 0.148], [0.040, 0.896, 0.425], [0.065, 0.935, 0.348], [0.071, 0.263, 0.105], [0.083, 0.254, 0.872], [0.094, 0.769, 0.258], [0.098, 0.362, 0.058], [0.153, 0.595, 0.739], [0.188, 0.760, 0.613], [0.244, 0.973, 0.035], [0.258, 0.136, 0.408], [0.306, 0.778, 0.113], [0.338, 0.037, 0.140], [0.338, 0.490, 0.572], [0.403, 0.469, 0.868], [0.413, 0.047, 0.413], [0.416, 0.506, 0.157], [0.423, 0.780, 0.895], [0.425, 0.221, 0.572], [0.447, 0.557, 0.612], [0.447, 0.689, 0.949], [0.450, 0.230, 0.647], [0.490, 0.709, 0.712], [0.510, 0.291, 0.288], [0.550, 0.770, 0.353], [0.553, 0.311, 0.051], [0.553, 0.443, 0.388], [0.575, 0.779, 0.428], [0.577, 0.220, 0.105], [0.584, 0.494, 0.843], [0.587, 0.953, 0.587], [0.597, 0.531, 0.132], [0.662, 0.510, 0.428], [0.662, 0.963, 0.860], [0.694, 0.222, 0.887], [0.742, 0.864, 0.592], [0.756, 0.027, 0.965], [0.812, 0.240, 0.387], [0.847, 0.405, 0.261], [0.902, 0.638, 0.942], [0.906, 0.231, 0.742], [0.917, 0.746, 0.128], [0.929, 0.737, 0.895], [0.935, 0.065, 0.652], [0.960, 0.104, 0.575], [0.980, 0.041, 0.852], [0.999, 0.446, 0.580]]
}

=====

# 6
{
  "formula": "BaSrI4",
  "functional": "PBE-GGA",
  "state": "relaxed",
  "energy_corrected_mp2020_ev_per_atom": -3.5527,
  "dft_energy_ev_per_cell": -79.2,
  "rho_g_cm3": 4.02,
  "formation_energy_ev_per_fu": -11.61,
  "lattice": [[10.377, 0.000, 0.000], [0.000, 12.424, 0.000], [-5.502, 0.000, 9.383]],
  "species": ["Ba", "Ba", "Ba", "Ba", "Sr", "Sr", "Sr", "Sr", "I", "I", "I", "I", "I", "I", "I", "I", "I", "I", "I", "I", "I", "I", "I", "I"],
  "fractional_positions": [[0.019, 0.057, 0.264], [0.019, 0.443, 0.764], [0.981, 0.557, 0.236], [0.981, 0.943, 0.736], [0.459, 0.682, 0.344], [0.459, 0.818, 0.844], [0.541, 0.182, 0.156], [0.541, 0.318, 0.656], [0.106, 0.696, 0.690], [0.106, 0.804, 0.190], [0.236, 0.502, 0.116], [0.236, 0.998, 0.616], [0.335, 0.547, 0.537], [0.335, 0.953, 0.037], [0.356, 0.190, 0.342], [0.356, 0.310, 0.842], [0.644, 0.690, 0.158], [0.644, 0.810, 0.658], [0.665, 0.047, 0.963], [0.665, 0.453, 0.463], [0.764, 0.002, 0.384], [0.764, 0.498, 0.884], [0.894, 0.196, 0.810], [0.894, 0.304, 0.310]]
}